(a)
The following is a GGA-PBE calculation of a geometry-optimized LiMg14Mo structure, from Materials Project.

abc: 6.292 6.376 9.949
angles: 90.00 90.00 120.44
Fractional positions:
1 Li 0.170 0.335 0.125
2 Mg 0.170 0.335 0.625
3 Mg 0.168 0.834 0.625
4 Mg 0.667 0.336 0.125
5 Mg 0.666 0.334 0.625
6 Mg 0.667 0.831 0.125
7 Mg 0.666 0.832 0.625
8 Mg 0.324 0.155 0.363
9 Mg 0.324 0.155 0.887
10 Mg 0.324 0.669 0.363
11 Mg 0.324 0.669 0.887
12 Mg 0.835 0.167 0.373
13 Mg 0.835 0.167 0.877
14 Mg 0.845 0.673 0.366
15 Mg 0.845 0.673 0.884
16 Mo 0.171 0.835 0.125

total magnetization: 0.19 μB/f.u.
symmetry: Amm2 (38)

---

(b)
The following is a GGA-PBE calculation of a geometry-optimized LiMg14Mo structure, from Materials Project.

abc: 6.320 6.320 9.905
angles: 90.00 90.00 120.00
Fractional positions:
1 Li 0.167 0.333 0.125
2 Mg 0.168 0.834 0.125
3 Mg 0.168 0.834 0.625
4 Mg 0.666 0.332 0.125
5 Mg 0.666 0.332 0.625
6 Mg 0.666 0.834 0.125
7 Mg 0.666 0.834 0.625
8 Mg 0.328 0.172 0.381
9 Mg 0.328 0.172 0.869
10 Mg 0.328 0.655 0.381
11 Mg 0.328 0.655 0.869
12 Mg 0.845 0.172 0.381
13 Mg 0.845 0.172 0.869
14 Mg 0.833 0.667 0.375
15 Mg 0.833 0.667 0.875
16 Mo 0.167 0.333 0.625

total magnetization: 0.35 μB/f.u.
symmetry: P-6m2 (187)

---

Energy comparison, zero being the most stable, in meV per atom: (a) 10; (b) 0.

---

(a)
The following is a GGA-PBE calculation of a geometry-optimized NaLiMg14O15 structure, from Materials Project.

abc: 8.492 8.667 4.268
angles: 90.00 90.00 90.00
Fractional positions:
1 Na 0.505 0.500 0.000
2 Li 0.996 0.000 0.000
3 Mg 0.983 0.500 0.000
4 Mg 0.504 0.000 0.000
5 Mg 0.001 0.244 0.500
6 Mg 0.001 0.756 0.500
7 Mg 0.499 0.250 0.500
8 Mg 0.499 0.750 0.500
9 Mg 0.245 0.000 0.500
10 Mg 0.252 0.500 0.500
11 Mg 0.756 0.000 0.500
12 Mg 0.742 0.500 0.500
13 Mg 0.249 0.223 0.000
14 Mg 0.249 0.777 0.000
15 Mg 0.749 0.247 0.000
16 Mg 0.749 0.753 0.000
17 O 0.253 0.000 0.000
18 O 0.748 0.000 0.000
19 O 0.757 0.500 0.000
20 O 0.250 0.259 0.500
21 O 0.250 0.741 0.500
22 O 0.751 0.253 0.500
23 O 0.751 0.747 0.500
24 O 0.003 0.000 0.500
25 O 0.014 0.500 0.500
26 O 0.497 0.000 0.500
27 O 0.485 0.500 0.500
28 O 0.013 0.268 0.000
29 O 0.013 0.732 0.000
30 O 0.493 0.240 0.000
31 O 0.493 0.760 0.000

total magnetization: 0.00 μB/f.u.
symmetry: Pmm2 (25)

---

(b)
The following is a GGA-PBE calculation of a geometry-optimized NaLiMg14O15 structure, from Materials Project.

abc: 8.547 8.631 4.270
angles: 90.00 90.00 90.00
Fractional positions:
1 Na 0.995 0.500 0.000
2 Li 0.995 0.000 0.000
3 Mg 0.503 0.000 0.000
4 Mg 0.518 0.500 0.000
5 Mg 0.001 0.244 0.500
6 Mg 0.001 0.756 0.500
7 Mg 0.499 0.250 0.500
8 Mg 0.499 0.750 0.500
9 Mg 0.243 0.000 0.500
10 Mg 0.244 0.500 0.500
11 Mg 0.759 0.000 0.500
12 Mg 0.764 0.500 0.500
13 Mg 0.241 0.223 0.000
14 Mg 0.241 0.777 0.000
15 Mg 0.762 0.246 0.000
16 Mg 0.762 0.754 0.000
17 O 0.264 0.000 0.000
18 O 0.739 0.000 0.000
19 O 0.742 0.500 0.000
20 O 0.250 0.259 0.500
21 O 0.250 0.741 0.500
22 O 0.748 0.253 0.500
23 O 0.748 0.747 0.500
24 O 0.003 0.000 0.500
25 O 0.014 0.500 0.500
26 O 0.497 0.000 0.500
27 O 0.482 0.500 0.500
28 O 0.007 0.243 0.000
29 O 0.007 0.757 0.000
30 O 0.486 0.261 0.000
31 O 0.486 0.739 0.000

total magnetization: 0.00 μB/f.u.
symmetry: Pmm2 (25)

---

Energy comparison, zero being the most stable, in meV per atom: (a) 0; (b) 11.

---

(a)
The following is a GGA-PBE calculation of a geometry-optimized Na3LiMg4Si12O30 structure, from Materials Project.

abc: 10.313 10.313 14.348
angles: 90.00 90.00 59.89
Fractional positions:
1 Na 0.333 0.331 0.500
2 Na 0.669 0.667 0.000
3 Na 0.667 0.669 0.500
4 Na 0.331 0.333 0.000
5 Na 0.000 0.000 0.250
6 Na 0.000 0.000 0.750
7 Li 0.500 0.000 0.250
8 Li 0.000 0.500 0.750
9 Mg 0.338 0.323 0.250
10 Mg 0.323 0.338 0.750
11 Mg 0.677 0.662 0.750
12 Mg 0.662 0.677 0.250
13 Mg 0.000 0.500 0.250
14 Mg 0.500 0.500 0.250
15 Mg 0.500 0.000 0.750
16 Mg 0.500 0.500 0.750
17 Si 0.353 0.885 0.388
18 Si 0.885 0.765 0.389
19 Si 0.763 0.350 0.389
20 Si 0.350 0.887 0.611
21 Si 0.885 0.761 0.612
22 Si 0.765 0.350 0.611
23 Si 0.235 0.115 0.889
24 Si 0.650 0.237 0.889
25 Si 0.115 0.647 0.888
26 Si 0.239 0.115 0.112
27 Si 0.650 0.235 0.111
28 Si 0.113 0.650 0.111
29 Si 0.650 0.113 0.611
30 Si 0.115 0.239 0.612
31 Si 0.235 0.650 0.611
32 Si 0.647 0.115 0.388
33 Si 0.115 0.235 0.389
34 Si 0.237 0.650 0.389
35 Si 0.761 0.885 0.112
36 Si 0.350 0.765 0.111
37 Si 0.887 0.350 0.111
38 Si 0.765 0.885 0.889
39 Si 0.350 0.763 0.889
40 Si 0.885 0.353 0.888
41 O 0.397 0.865 0.500
42 O 0.866 0.737 0.500
43 O 0.736 0.399 0.500
44 O 0.263 0.134 0.000
45 O 0.601 0.264 0.000
46 O 0.135 0.603 0.000
47 O 0.603 0.135 0.500
48 O 0.134 0.263 0.500
49 O 0.264 0.601 0.500
50 O 0.737 0.866 0.000
51 O 0.399 0.736 0.000
52 O 0.865 0.397 0.000
53 O 0.501 0.840 0.331
54 O 0.845 0.658 0.329
55 O 0.659 0.496 0.328
56 O 0.496 0.844 0.672
57 O 0.840 0.659 0.669
58 O 0.658 0.497 0.671
59 O 0.342 0.155 0.829
60 O 0.504 0.341 0.828
61 O 0.160 0.499 0.831
62 O 0.341 0.160 0.169
63 O 0.503 0.342 0.171
64 O 0.156 0.504 0.172
65 O 0.504 0.156 0.672
66 O 0.160 0.341 0.669
67 O 0.342 0.503 0.671
68 O 0.499 0.160 0.331
69 O 0.155 0.342 0.329
70 O 0.341 0.504 0.328
71 O 0.659 0.840 0.169
72 O 0.497 0.658 0.171
73 O 0.844 0.496 0.172
74 O 0.658 0.845 0.829
75 O 0.496 0.659 0.828
76 O 0.840 0.501 0.831
77 O 0.272 0.785 0.366
78 O 0.783 0.944 0.365
79 O 0.943 0.274 0.365
80 O 0.274 0.782 0.635
81 O 0.785 0.943 0.635
82 O 0.943 0.273 0.634
83 O 0.056 0.217 0.865
84 O 0.726 0.057 0.865
85 O 0.215 0.728 0.866
86 O 0.057 0.215 0.135
87 O 0.727 0.057 0.134
88 O 0.218 0.726 0.135
89 O 0.726 0.218 0.635
90 O 0.215 0.057 0.635
91 O 0.057 0.727 0.634
92 O 0.728 0.215 0.366
93 O 0.217 0.056 0.365
94 O 0.057 0.726 0.365
95 O 0.943 0.785 0.135
96 O 0.273 0.943 0.134
97 O 0.782 0.274 0.135
98 O 0.944 0.783 0.865
99 O 0.274 0.943 0.865
100 O 0.785 0.272 0.866

total magnetization: 0.00 μB/f.u.
symmetry: Ccc2 (37)

---

(b)
The following is a GGA-PBE calculation of a geometry-optimized Na3LiMg4Si12O30 structure, from Materials Project.

abc: 10.191 10.191 14.669
angles: 90.00 90.00 120.51
Fractional positions:
1 Na 0.000 0.000 0.973
2 Na 0.289 0.613 0.466
3 Na 0.387 0.711 0.966
4 Na 0.613 0.289 0.966
5 Na 0.711 0.387 0.466
6 Na 0.000 0.000 0.473
7 Li 0.000 0.500 0.247
8 Li 0.500 0.000 0.747
9 Mg 0.500 0.500 0.243
10 Mg 0.000 0.500 0.752
11 Mg 0.337 0.687 0.738
12 Mg 0.313 0.663 0.238
13 Mg 0.500 0.000 0.252
14 Mg 0.663 0.313 0.738
15 Mg 0.687 0.337 0.238
16 Mg 0.500 0.500 0.743
17 Si 0.112 0.365 0.894
18 Si 0.097 0.363 0.092
19 Si 0.106 0.128 0.679
20 Si 0.193 0.261 0.314
21 Si 0.637 0.903 0.592
22 Si 0.635 0.888 0.394
23 Si 0.739 0.807 0.814
24 Si 0.872 0.894 0.179
25 Si 0.247 0.884 0.888
26 Si 0.246 0.887 0.098
27 Si 0.887 0.246 0.598
28 Si 0.884 0.247 0.388
29 Si 0.113 0.754 0.598
30 Si 0.116 0.753 0.388
31 Si 0.754 0.113 0.098
32 Si 0.753 0.116 0.888
33 Si 0.261 0.193 0.814
34 Si 0.128 0.106 0.179
35 Si 0.363 0.097 0.592
36 Si 0.365 0.112 0.394
37 Si 0.894 0.872 0.679
38 Si 0.807 0.739 0.314
39 Si 0.888 0.635 0.894
40 Si 0.903 0.637 0.092
41 O 0.164 0.235 0.889
42 O 0.131 0.219 0.095
43 O 0.025 0.221 0.636
44 O 0.024 0.225 0.352
45 O 0.341 0.482 0.574
46 O 0.350 0.514 0.663
47 O 0.320 0.440 0.316
48 O 0.171 0.449 0.994
49 O 0.152 0.480 0.174
50 O 0.174 0.494 0.816
51 O 0.560 0.680 0.816
52 O 0.486 0.650 0.163
53 O 0.781 0.869 0.595
54 O 0.765 0.836 0.389
55 O 0.518 0.659 0.074
56 O 0.551 0.829 0.494
57 O 0.775 0.976 0.852
58 O 0.779 0.975 0.136
59 O 0.520 0.848 0.674
60 O 0.506 0.826 0.316
61 O 0.146 0.652 0.668
62 O 0.158 0.646 0.331
63 O 0.726 0.088 0.583
64 O 0.732 0.074 0.388
65 O 0.070 0.684 0.494
66 O 0.354 0.842 0.831
67 O 0.348 0.854 0.168
68 O 0.316 0.930 0.994
69 O 0.926 0.268 0.888
70 O 0.912 0.274 0.083
71 O 0.074 0.732 0.888
72 O 0.088 0.726 0.083
73 O 0.684 0.070 0.994
74 O 0.646 0.158 0.831
75 O 0.652 0.146 0.168
76 O 0.930 0.316 0.494
77 O 0.274 0.912 0.583
78 O 0.268 0.926 0.388
79 O 0.854 0.348 0.668
80 O 0.842 0.354 0.331
81 O 0.480 0.152 0.674
82 O 0.494 0.174 0.316
83 O 0.225 0.024 0.852
84 O 0.221 0.025 0.136
85 O 0.449 0.171 0.494
86 O 0.482 0.341 0.074
87 O 0.219 0.131 0.595
88 O 0.235 0.164 0.389
89 O 0.440 0.320 0.816
90 O 0.514 0.350 0.163
91 O 0.848 0.520 0.174
92 O 0.826 0.506 0.816
93 O 0.829 0.551 0.994
94 O 0.650 0.486 0.663
95 O 0.680 0.560 0.316
96 O 0.659 0.518 0.574
97 O 0.975 0.779 0.636
98 O 0.976 0.775 0.352
99 O 0.836 0.765 0.889
100 O 0.869 0.781 0.095

total magnetization: 2.01 μB/f.u.
symmetry: Ccc2 (37)

---

Energy comparison, zero being the most stable, in meV per atom: (a) 0; (b) 688.

---

(a)
The following is a GGA-PBE calculation of a geometry-optimized LiMg6Nb structure, from Materials Project.

abc: 4.962 6.417 10.666
angles: 90.00 90.00 90.00
Fractional positions:
1 Li 0.500 0.000 0.836
2 Li 0.500 0.500 0.336
3 Mg 0.500 0.255 0.582
4 Mg 0.500 0.745 0.582
5 Mg 0.000 0.244 0.411
6 Mg 0.000 0.756 0.411
7 Mg 0.000 0.000 0.668
8 Mg 0.000 0.000 0.173
9 Mg 0.500 0.755 0.082
10 Mg 0.500 0.245 0.082
11 Mg 0.000 0.744 0.911
12 Mg 0.000 0.256 0.911
13 Mg 0.000 0.500 0.168
14 Mg 0.000 0.500 0.673
15 Nb 0.500 0.000 0.336
16 Nb 0.500 0.500 0.836

total magnetization: 1.52 μB/f.u.

---

(b)
The following is a GGA-PBE calculation of a geometry-optimized LiMg6Nb structure, from Materials Project.

abc: 4.981 6.220 10.844
angles: 90.00 90.00 90.00
Fractional positions:
1 Li 0.000 0.500 0.329
2 Li 0.000 0.000 0.829
3 Mg 0.000 0.262 0.088
4 Mg 0.000 0.738 0.088
5 Mg 0.000 0.000 0.333
6 Mg 0.500 0.745 0.416
7 Mg 0.500 0.255 0.416
8 Mg 0.500 0.000 0.165
9 Mg 0.000 0.762 0.588
10 Mg 0.000 0.238 0.588
11 Mg 0.000 0.500 0.833
12 Mg 0.500 0.245 0.916
13 Mg 0.500 0.755 0.916
14 Mg 0.500 0.500 0.665
15 Nb 0.500 0.500 0.165
16 Nb 0.500 0.000 0.665

total magnetization: 0.00 μB/f.u.

---

Energy comparison, zero being the most stable, in meV per atom: (a) 9; (b) 0.

---

(a)
The following is a GGA-PBE calculation of a geometry-optimized RbLiMg6O7 structure, from Materials Project.

abc: 4.146 4.146 11.814
angles: 90.00 90.00 90.00
Fractional positions:
1 Rb 0.500 0.500 0.959
2 Li 0.000 0.000 0.088
3 Mg 0.000 0.000 0.498
4 Mg 0.500 0.500 0.477
5 Mg 0.000 0.500 0.264
6 Mg 0.000 0.500 0.671
7 Mg 0.500 0.000 0.264
8 Mg 0.500 0.000 0.671
9 O 0.000 0.000 0.679
10 O 0.500 0.500 0.306
11 O 0.500 0.500 0.685
12 O 0.000 0.500 0.103
13 O 0.000 0.500 0.491
14 O 0.500 0.000 0.103
15 O 0.500 0.000 0.491

total magnetization: 1.25 μB/f.u.
symmetry: P4mm (99)

---

(b)
The following is a GGA-PBE calculation of a geometry-optimized RbLiMg6O7 structure, from Materials Project.

abc: 8.138 4.607 4.607
angles: 90.00 90.00 90.00
Fractional positions:
1 Rb 0.427 0.000 0.000
2 Li 0.977 0.000 0.000
3 Mg 0.004 0.500 0.500
4 Mg 0.515 0.500 0.500
5 Mg 0.253 0.000 0.500
6 Mg 0.755 0.000 0.500
7 Mg 0.253 0.500 0.000
8 Mg 0.755 0.500 0.000
9 O 0.755 0.000 0.000
10 O 0.259 0.500 0.500
11 O 0.759 0.500 0.500
12 O 0.019 0.000 0.500
13 O 0.501 0.000 0.500
14 O 0.019 0.500 0.000
15 O 0.501 0.500 0.000

symmetry: P4mm (99)

---

Energy comparison, zero being the most stable, in meV per atom: (a) 0; (b) 44.